[1]
{
  "formula": "SiO2",
  "functional": "PBE-GGA",
  "state": "optimized geometry",
  "lattice": [[3.807, 0.000, 0.000], [0.000, 3.807, 0.000], [0.000, 0.000, 3.807]],
  "species": ["Si", "Si", "O", "O", "O", "O"],
  "fractional_positions": [[0.250, 0.250, 0.250], [0.750, 0.750, 0.750], [0.000, 0.000, 0.000], [0.000, 0.500, 0.500], [0.500, 0.000, 0.500], [0.500, 0.500, 0.000]]
}

[2]
{
  "formula": "Th2CuP2O",
  "functional": "PBE-GGA",
  "state": "optimized geometry",
  "lattice": [[3.408, 0.000, 0.000], [0.000, 3.408, 0.000], [0.000, 0.000, 14.154]],
  "species": ["Th", "Th", "Cu", "P", "P", "O"],
  "fractional_positions": [[0.000, 0.000, 0.151], [0.000, 0.000, 0.849], [0.000, 0.000, 0.500], [0.000, 0.000, 0.348], [0.000, 0.000, 0.652], [0.000, 0.000, 0.000]]
}

[3]
{
  "formula": "Cd4HgSe5",
  "functional": "PBE-GGA",
  "state": "optimized geometry",
  "lattice": [[4.411, 0.000, 0.000], [-2.205, 3.820, 0.000], [0.000, 0.000, 35.936]],
  "species": ["Cd", "Cd", "Cd", "Cd", "Cd", "Cd", "Cd", "Cd", "Hg", "Hg", "Se", "Se", "Se", "Se", "Se", "Se", "Se", "Se", "Se", "Se"],
  "fractional_positions": [[0.000, 0.000, 0.000], [0.000, 0.000, 0.200], [0.000, 0.000, 0.400], [0.000, 0.000, 0.600], [0.000, 0.000, 0.800], [0.333, 0.667, 0.100], [0.333, 0.667, 0.300], [0.333, 0.667, 0.500], [0.333, 0.667, 0.700], [0.333, 0.667, 0.900], [0.000, 0.000, 0.125], [0.000, 0.000, 0.325], [0.000, 0.000, 0.525], [0.000, 0.000, 0.725], [0.000, 0.000, 0.925], [0.333, 0.667, 0.025], [0.333, 0.667, 0.225], [0.333, 0.667, 0.425], [0.333, 0.667, 0.624], [0.333, 0.667, 0.824]]
}

[4]
{
  "formula": "Na7Ca3TaSi3S3O24",
  "functional": "PBE-GGA",
  "state": "optimized geometry",
  "lattice": [[9.405, 0.000, 0.000], [-4.698, 8.169, 0.000], [-0.086, -0.106, 22.928]],
  "species": ["Na", "Na", "Na", "Na", "Na", "Na", "Na", "Na", "Na", "Na", "Na", "Na", "Na", "Na", "Na", "Na", "Na", "Na", "Na", "Na", "Na", "Ca", "Ca", "Ca", "Ca", "Ca", "Ca", "Ca", "Ca", "Ca", "Ta", "Ta", "Ta", "Si", "Si", "Si", "Si", "Si", "Si", "Si", "Si", "Si", "S", "S", "S", "S", "S", "S", "S", "S", "S", "O", "O", "O", "O", "O", "O", "O", "O", "O", "O", "O", "O", "O", "O", "O", "O", "O", "O", "O", "O", "O", "O", "O", "O", "O", "O", "O", "O", "O", "O", "O", "O", "O", "O", "O", "O", "O", "O", "O", "O", "O", "O", "O", "O", "O", "O", "O", "O", "O", "O", "O", "O", "O", "O", "O", "O", "O", "O", "O", "O", "O", "O", "O", "O", "O", "O", "O", "O", "O", "O", "O", "O"],
  "fractional_positions": [[0.000, 0.000, 0.000], [0.001, 0.626, 0.773], [0.014, 0.957, 0.336], [0.022, 0.635, 0.258], [0.060, 0.328, 0.183], [0.273, 0.947, 0.189], [0.292, 0.629, 0.330], [0.295, 0.938, 0.834], [0.306, 0.288, 0.099], [0.357, 0.269, 0.601], [0.368, 0.618, 0.000], [0.394, 0.018, 0.512], [0.624, 0.607, 0.513], [0.625, 0.258, 0.991], [0.657, 0.608, 0.169], [0.666, 0.000, 0.422], [0.672, 0.958, 0.916], [0.681, 0.619, 0.833], [0.690, 0.286, 0.355], [0.983, 0.259, 0.494], [0.997, 0.306, 0.834], [0.006, 0.631, 0.113], [0.322, 0.284, 0.915], [0.326, 0.286, 0.244], [0.327, 0.274, 0.436], [0.329, 0.281, 0.742], [0.661, 0.964, 0.579], [0.662, 0.949, 0.075], [0.997, 0.618, 0.405], [0.999, 0.625, 0.906], [0.644, 0.953, 0.772], [0.665, 0.953, 0.270], [0.993, 0.618, 0.614], [0.007, 0.980, 0.839], [0.013, 0.281, 0.338], [0.333, 0.600, 0.841], [0.343, 0.981, 0.338], [0.356, 0.950, 0.665], [0.366, 0.654, 0.170], [0.638, 0.287, 0.841], [0.701, 0.329, 0.507], [0.963, 0.955, 0.170], [0.286, 0.618, 0.510], [0.302, 0.936, 0.008], [0.636, 0.610, 0.338], [0.666, 0.248, 0.175], [0.676, 0.660, 0.668], [0.688, 0.616, 0.008], [0.962, 0.268, 0.670], [0.996, 0.908, 0.511], [0.998, 0.320, 0.009], [0.000, 0.409, 0.063], [0.004, 0.805, 0.561], [0.043, 0.081, 0.901], [0.082, 0.237, 0.398], [0.130, 0.304, 0.676], [0.135, 0.318, 0.284], [0.147, 0.302, 0.009], [0.148, 0.070, 0.514], [0.148, 0.109, 0.177], [0.161, 0.077, 0.797], [0.169, 0.769, 0.662], [0.178, 0.614, 0.560], [0.181, 0.799, 0.342], [0.189, 0.643, 0.181], [0.196, 0.656, 0.843], [0.211, 0.849, 0.061], [0.217, 0.839, 0.955], [0.221, 0.644, 0.455], [0.282, 0.458, 0.511], [0.291, 0.463, 0.792], [0.313, 0.100, 0.007], [0.318, 0.068, 0.281], [0.321, 0.098, 0.674], [0.359, 0.479, 0.176], [0.387, 0.552, 0.902], [0.390, 0.095, 0.397], [0.438, 0.954, 0.603], [0.451, 0.733, 0.109], [0.458, 0.752, 0.517], [0.472, 0.932, 0.718], [0.472, 0.959, 0.008], [0.492, 0.783, 0.225], [0.506, 0.956, 0.327], [0.509, 0.780, 0.821], [0.523, 0.466, 0.007], [0.524, 0.322, 0.515], [0.528, 0.279, 0.182], [0.531, 0.226, 0.901], [0.533, 0.535, 0.390], [0.537, 0.494, 0.673], [0.549, 0.340, 0.794], [0.562, 0.508, 0.286], [0.642, 0.112, 0.820], [0.643, 0.158, 0.120], [0.646, 0.775, 0.331], [0.669, 0.145, 0.226], [0.670, 0.736, 0.613], [0.673, 0.767, 0.005], [0.689, 0.148, 0.509], [0.697, 0.766, 0.718], [0.773, 0.612, 0.062], [0.784, 0.620, 0.956], [0.789, 0.411, 0.446], [0.806, 0.644, 0.345], [0.824, 0.403, 0.177], [0.828, 0.110, 0.328], [0.830, 0.458, 0.561], [0.832, 0.421, 0.846], [0.836, 0.647, 0.666], [0.836, 0.976, 0.812], [0.840, 0.958, 0.226], [0.845, 0.155, 0.006], [0.848, 0.924, 0.517], [0.854, 0.185, 0.720], [0.887, 0.976, 0.110], [0.890, 0.182, 0.615], [0.953, 0.777, 0.181], [0.959, 0.789, 0.844], [0.970, 0.438, 0.666], [0.975, 0.432, 0.340], [0.984, 0.825, 0.455], [0.995, 0.410, 0.957]]
}

Sequential spin magnetization output: 0.00, 0.00, 0.00, 0.00 μB per cell
Sequential ΔE_f output: -2.88, -0.33, -0.77, -2.64 eV per atom
Sequential final energy output: -7.525, -6.002, -2.680, -6.492 eV per atom